10
Lattice="3.374 1.948 6.822 -3.374 1.948 6.822 0.000 -3.896 6.822" Properties=species:S:1:pos:R:3 comment="SnPS3 | the Materials Project | PBE | relaxed" ef_mev_per_atom=-605 space_group=R-3 pbc="T T T"
Sn 0.000 0.000 3.434
Sn 0.000 0.000 17.033
P 0.000 0.000 9.105
P 0.000 0.000 11.361
S -0.929 -1.720 8.500
S -1.954 -0.055 11.966
S -1.025 1.665 8.500
S 1.025 -1.665 11.966
S 1.954 0.055 8.500
S 0.929 1.720 11.966